a.
Compound: BaH8PtC4N4O4
Source: the Materials Project database
Functional: GGA-PBE
Structure: relaxed

For the density, the calculation gives 3.06 Mg/m³.

It has space group C2/c (No. 15), with a = 12.575 Å, b = 14.045 Å, c = 6.622 Å, α = 90.00°, β = 109.31° and γ = 90.00°. The asymmetric unit holds Ba at (0.000, 0.132, 0.250), H at (0.108, 0.092, 0.839), H at (0.166, 0.046, 0.061), H at (0.197, 0.208, 0.865), H at (0.224, 0.183, 0.664), Pt at (0.000, 0.500, 0.000), C at (0.063, 0.369, 0.056), C at (0.154, 0.442, 0.588), N at (0.097, 0.291, 0.094), N at (0.244, 0.408, 0.636), O at (0.092, 0.050, 0.946) and O at (0.160, 0.185, 0.719).

=====

b.
Compound: BaH8PtC4N4O4
Source: the Materials Project database
Functional: GGA-PBE
Structure: relaxed

For the density, the calculation gives 3.08 Mg/m³.

It has space group C2/c (No. 15), with a = 12.359 Å, b = 13.963 Å, c = 6.679 Å, α = 90.00°, β = 107.80° and γ = 90.00°. The asymmetric unit holds Ba at (0.000, 0.130, 0.250), H at (0.108, 0.101, 0.842), H at (0.124, 0.250, 0.722), H at (0.172, 0.043, 0.040), H at (0.221, 0.189, 0.691), Pt at (0.000, 0.500, 0.000), C at (0.067, 0.369, 0.054), C at (0.154, 0.441, 0.587), N at (0.103, 0.291, 0.088), N at (0.245, 0.405, 0.637), O at (0.096, 0.053, 0.942) and O at (0.138, 0.189, 0.664).

=====

Result of the stability comparison: b is the most stable of them.